KTeIO9: optimized geometry, PBE.

## Properties
V   201.0 Å³/f.u.
Calculated total energy   -4.266 eV/atom
Magnetization   0.500 μB per atom

abc: 7.0359 8.9718 12.7393
angles: 90.00 90.00 90.00
Last column: nearest neighbours and their distance in Å.
Sites, in units of the cell vectors:
K1 0.7216 0.2971 0.9200  7 O 2.72-2.93
K2 0.2216 0.7029 0.0800  7 O 2.72-2.93
K3 0.2216 0.2029 0.4200  7 O 2.72-2.93
K4 0.7216 0.7971 0.5800  7 O 2.72-2.93
Te1 0.7872 0.2867 0.5824  6 O 1.91-1.98
Te2 0.2872 0.7133 0.4176  6 O 1.91-1.98
Te3 0.2872 0.2133 0.0824  6 O 1.91-1.98
Te4 0.7872 0.7867 0.9176  6 O 1.91-1.98
I1 0.2177 0.3459 0.7527  3 O 1.85-1.87
I2 0.7177 0.6541 0.2473  3 O 1.85-1.87
I3 0.7177 0.1541 0.2527  3 O 1.85-1.87
I4 0.2177 0.8459 0.7473  3 O 1.85-1.87
O1 0.7108 0.1022 0.5136  1 Te 1.95
O2 0.2108 0.8978 0.4864  1 Te 1.95
O3 0.2108 0.3978 0.0136  1 Te 1.95
O4 0.7108 0.6022 0.9864  1 Te 1.95
O5 0.8057 0.4806 0.6548  1 Te 1.97, 1 O 2.21
O6 0.3057 0.5194 0.3452  1 Te 1.97, 1 O 2.21
O7 0.3057 0.0194 0.1548  1 Te 1.97, 1 O 2.21
O8 0.8057 0.9806 0.8452  1 Te 1.97, 1 O 2.21
O9 0.6367 0.2251 0.7029  1 Te 1.94
O10 0.1367 0.7749 0.2971  1 Te 1.94
O11 0.1367 0.2749 0.2029  1 Te 1.94
O12 0.6367 0.7251 0.7971  1 Te 1.94
O13 0.8924 0.3856 0.4609  1 Te 1.93
O14 0.3924 0.6144 0.5391  1 Te 1.93
O15 0.3924 0.1144 0.9609  1 Te 1.93
O16 0.8924 0.8856 0.0391  1 Te 1.93
O17 0.5164 0.3182 0.5482  1 Te 1.98
O18 0.0164 0.6818 0.4518  1 Te 1.98
O19 0.0164 0.1818 0.0482  1 Te 1.98
O20 0.5164 0.8182 0.9518  1 Te 1.98
O21 0.0388 0.2269 0.6187  1 Te 1.91
O22 0.5388 0.7731 0.3813  1 Te 1.91
O23 0.5388 0.2731 0.1187  1 Te 1.91
O24 0.0388 0.7269 0.8813  1 Te 1.91
O25 0.2035 0.1601 0.8151  1 I 1.85
O26 0.7035 0.8399 0.1849  1 I 1.85
O27 0.7035 0.3399 0.3151  1 I 1.85
O28 0.2035 0.6601 0.6849  1 I 1.85
O29 0.3590 0.4345 0.8606  1 I 1.87
O30 0.8590 0.5655 0.1394  1 I 1.87
O31 0.8590 0.0655 0.3606  1 I 1.87
O32 0.3590 0.9345 0.6394  1 I 1.87
O33 0.9841 0.4237 0.7916  1 I 1.85
O34 0.4841 0.5763 0.2084  1 I 1.85
O35 0.4841 0.0763 0.2916  1 I 1.85
O36 0.9841 0.9237 0.7084  1 I 1.85

K4Ti4I12O: optimized geometry, PBE.

## Properties
V   790.8 Å³/f.u.
Calculated total energy   -4.028 eV/atom

abc: 10.6359 10.6359 10.6359
angles: 98.58 98.58 134.56
Last column: nearest neighbours and their distance in Å.
Sites, in units of the cell vectors:
K1 0.8187 0.5843 0.4030  4 I 3.51-3.73
K2 0.1813 0.4157 0.5970  4 I 3.51-3.73
K3 0.4157 0.8187 0.2344  4 I 3.51-3.73
K4 0.5843 0.1813 0.7656  4 I 3.51-3.73
Ti1 0.1415 0.0286 0.1700  1 O 2.00
Ti2 0.8585 0.9714 0.8300  1 O 2.00
Ti3 0.9714 0.1415 0.1129  1 O 2.00
Ti4 0.0286 0.8585 0.8871  1 O 2.00
I1 0.0628 0.6506 0.7134  1 Ti 2.92
I2 0.9372 0.3494 0.2866  1 Ti 2.92
I3 0.3494 0.0628 0.4122  1 Ti 2.92
I4 0.6506 0.9372 0.5878  1 Ti 2.92
I5 0.8740 0.9316 0.2895  2 Ti 2.85-2.86
I6 0.6422 0.5845 0.7105  2 Ti 2.85-2.86
I7 0.5845 0.8740 0.9424  2 Ti 2.85-2.86
I8 0.9316 0.6422 0.0576  2 Ti 2.85-2.86
I9 0.1260 0.0684 0.7105  2 Ti 2.85-2.86
I10 0.3578 0.4155 0.2895  2 Ti 2.85-2.86
I11 0.4155 0.1260 0.0576  2 Ti 2.85-2.86
I12 0.0684 0.3578 0.9424  2 Ti 2.85-2.86
O1 0.0000 0.0000 0.0000  4 Ti 2.00

K2U3I4O20: optimized geometry, PBE.

## Properties
V   507.2 Å³/f.u.
Calculated total energy   -6.562 eV/atom

abc: 7.0780 8.0599 9.2315
angles: 92.01 105.38 91.39
Last column: nearest neighbours and their distance in Å.
Sites, in units of the cell vectors:
K1 0.7491 0.3998 0.1593  7 O 2.77-3.07
K2 0.2509 0.6002 0.8407  7 O 2.77-3.07
U1 0.5499 0.9164 0.1915  2 O 1.84
U2 0.4501 0.0836 0.8085  2 O 1.84
U3 0.0000 0.0000 0.0000  2 O 1.83
I1 0.2952 0.3492 0.4404  3 O 1.83-1.85
I2 0.7048 0.6508 0.5596  3 O 1.83-1.85
I3 0.8776 0.2064 0.6244  3 O 1.81-1.90
I4 0.1224 0.7936 0.3756  3 O 1.81-1.90
O1 0.3092 0.9883 0.9867  3 U 2.23-2.29
O2 0.6908 0.0117 0.0133  3 U 2.23-2.29
O3 0.8899 0.8930 0.2894  1 I 1.84
O4 0.6506 0.4725 0.4255  1 I 1.83
O5 0.9546 0.7864 0.9218  1 U 1.83
O6 0.3494 0.5275 0.5745  1 I 1.83
O7 0.5738 0.1290 0.2739  1 U 1.84
O8 0.0876 0.5923 0.2781  1 I 1.81
O9 0.7743 0.0944 0.7655  1 I 1.90
O10 0.1101 0.1070 0.7106  1 I 1.84
O11 0.4314 0.1897 0.5615  1 I 1.85
O12 0.5296 0.7010 0.1148  1 U 1.84
O13 0.5686 0.8103 0.4385  1 I 1.85
O14 0.0430 0.2852 0.4427  1 I 1.85
O15 0.4704 0.2990 0.8852  1 U 1.84
O16 0.4262 0.8710 0.7261  1 U 1.84
O17 0.0454 0.2136 0.0782  1 U 1.83
O18 0.2257 0.9056 0.2345  1 I 1.90
O19 0.9570 0.7148 0.5573  1 I 1.85
O20 0.9124 0.4077 0.7219  1 I 1.81

KZnI3O2: optimized geometry, PBE.

## Properties
V   274.8 Å³/f.u.
Calculated total energy   -3.051 eV/atom
Magnetization   0.286 μB per atom

abc: 7.7422 9.7922 14.4986
angles: 90.00 90.00 90.00
Last column: nearest neighbours and their distance in Å.
Sites, in units of the cell vectors:
K1 0.8830 0.4667 0.0893  2 O 3.35-3.43, 2 I 3.66-3.75
K2 0.3830 0.0333 0.9107  2 O 3.35-3.43, 2 I 3.66-3.75
K3 0.1170 0.9667 0.4107  2 O 3.35-3.43, 2 I 3.66-3.75
K4 0.6170 0.5333 0.5893  2 O 3.35-3.43, 2 I 3.66-3.75
Zn1 0.3183 0.4633 0.9099  3 I 2.53-2.56
Zn2 0.8183 0.0367 0.0901  3 I 2.53-2.56
Zn3 0.6817 0.9633 0.5901  3 I 2.53-2.56
Zn4 0.1817 0.5367 0.4099  3 I 2.53-2.56
I1 0.3477 0.3318 0.7599  1 Zn 2.54
I2 0.8477 0.1682 0.2401  1 Zn 2.54
I3 0.6523 0.8318 0.7401  1 Zn 2.54
I4 0.1523 0.6682 0.2599  1 Zn 2.54
I5 0.3958 0.3465 0.0623  1 Zn 2.56
I6 0.8958 0.1535 0.9377  1 Zn 2.56
I7 0.6042 0.8465 0.4377  1 Zn 2.56
I8 0.1042 0.6535 0.5623  1 Zn 2.56
I9 0.1666 0.6915 0.9193  1 Zn 2.53
I10 0.6666 0.8085 0.0807  1 Zn 2.53
I11 0.8334 0.1915 0.5807  1 Zn 2.53
I12 0.3334 0.3085 0.4193  1 Zn 2.53
O1 0.7164 0.5236 0.8793  1 O 1.23
O2 0.2164 0.9764 0.1207  1 O 1.23
O3 0.2836 0.0236 0.6207  1 O 1.23
O4 0.7836 0.4764 0.3793  1 O 1.23
O5 0.7830 0.4861 0.8065  1 O 1.23
O6 0.2830 0.0139 0.1935  1 O 1.23
O7 0.2170 0.9861 0.6935  1 O 1.23
O8 0.7170 0.5139 0.3065  1 O 1.23

| no. | formation enthalpy at 0 K (meV per atom) |
| --- | --- |
| 1 | -589 |
| 2 | -1239 |
| 3 | -2169 |
| 4 | -692 |